[1]
Below is K2S2O3 after structural relaxation, with properties calculated at the GGA-PBE level.

Its total energy is -5.147 eV per atom.

Unit cell a=9.2921 b=10.2484 c=13.5164 alpha=68.12 beta=90.00 gamma=90.00
Sites, in units of the cell vectors:
1 O 0.4162 0.8062 0.8850
2 O 0.5769 0.9536 0.1215
3 O 0.7053 0.0070 0.2607
4 O 0.2053 0.9930 0.2393
5 O 0.2499 0.3677 0.7568
6 O 0.5869 0.5710 0.1242
7 O 0.2549 0.6082 0.7512
8 O 0.2501 0.3677 0.2568
9 O 0.9162 0.1938 0.6150
10 O 0.7499 0.6323 0.7432
11 O 0.0838 0.8062 0.3850
12 O 0.2451 0.6082 0.2512
13 O 0.5838 0.1938 0.1150
14 O 0.9231 0.9536 0.6215
15 O 0.4231 0.0464 0.8785
16 O 0.7451 0.3918 0.2488
17 O 0.0869 0.4290 0.3758
18 O 0.7947 0.0070 0.7607
19 O 0.9131 0.5710 0.6242
20 O 0.4131 0.4290 0.8758
21 O 0.7501 0.6323 0.2432
22 O 0.2947 0.9930 0.7393
23 O 0.0769 0.0464 0.3785
24 O 0.7549 0.3918 0.7488
25 K 0.4884 0.7840 0.6948
26 K 0.0091 0.7350 0.7940
27 K 0.6749 0.8788 0.9604
28 K 0.1890 0.5827 0.5530
29 K 0.6890 0.4173 0.9470
30 K 0.4909 0.7350 0.2940
31 K 0.1749 0.1212 0.5396
32 K 0.9909 0.2650 0.2060
33 K 0.5116 0.2160 0.3052
34 K 0.5091 0.2650 0.7060
35 K 0.9884 0.2160 0.8052
36 K 0.8110 0.4173 0.4470
37 K 0.0116 0.7840 0.1948
38 K 0.3110 0.5827 0.0530
39 K 0.3251 0.1212 0.0396
40 K 0.8251 0.8788 0.4604
41 S 0.1152 0.4082 0.9353
42 S 0.1511 0.9048 0.9426
43 S 0.6152 0.5918 0.5647
44 S 0.7289 0.5432 0.1786
45 S 0.3848 0.4082 0.4353
46 S 0.8340 0.0589 0.6457
47 S 0.3489 0.9048 0.4426
48 S 0.7711 0.5432 0.6786
49 S 0.6660 0.0589 0.1457
50 S 0.6511 0.0952 0.5574
51 S 0.8489 0.0952 0.0574
52 S 0.8848 0.5918 0.0647
53 S 0.2711 0.4568 0.8214
54 S 0.3340 0.9411 0.8543
55 S 0.1660 0.9411 0.3543
56 S 0.2289 0.4568 0.3214

[2]
Below is KSO2 after structural relaxation, with properties calculated at the GGA-PBE level.

Its total energy is -5.193 eV per atom.

Unit cell a=6.1836 b=7.7757 c=7.1639 alpha=90.00 beta=90.00 gamma=90.00
Sites, in units of the cell vectors:
1 O 0.0462 0.6154 0.2340
2 O 0.4538 0.6154 0.2340
3 O 0.9538 0.8846 0.7340
4 O 0.5462 0.8846 0.7340
5 O 0.9538 0.3846 0.7660
6 O 0.5462 0.3846 0.7660
7 O 0.4538 0.1154 0.2660
8 O 0.0462 0.1154 0.2660
9 S 0.2500 0.1155 0.1464
10 S 0.7500 0.3845 0.6464
11 S 0.2500 0.6155 0.3536
12 S 0.7500 0.8845 0.8536
13 K 0.7500 0.8677 0.3559
14 K 0.7500 0.3677 0.1441
15 K 0.2500 0.6323 0.8559
16 K 0.2500 0.1323 0.6441

[3]
Below is K2S2O5 after structural relaxation, with properties calculated at the GGA-PBE level.

Its total energy is -5.457 eV per atom.

Unit cell a=6.6030 b=6.9991 c=9.0970 alpha=64.55 beta=90.00 gamma=90.00
Sites, in units of the cell vectors:
1 K 0.7500 0.2775 0.4849
2 K 0.2500 0.7225 0.5151
3 K 0.7500 0.7136 0.0089
4 K 0.2500 0.2864 0.9911
5 O 0.4359 0.7682 0.7864
6 O 0.0635 0.2945 0.6765
7 O 0.9359 0.2318 0.2136
8 O 0.2500 0.8416 0.9938
9 O 0.0641 0.7682 0.7864
10 O 0.9365 0.7055 0.3235
11 O 0.5635 0.7055 0.3235
12 O 0.5641 0.2318 0.2136
13 O 0.7500 0.1584 0.0062
14 O 0.4365 0.2945 0.6765
15 S 0.2500 0.2059 0.6330
16 S 0.7500 0.1409 0.1737
17 S 0.2500 0.8591 0.8263
18 S 0.7500 0.7941 0.3670

[4]
Below is K2S2O5 after structural relaxation, with properties calculated at the GGA-PBE level.

Its total energy is -5.515 eV per atom.

Unit cell a=6.2291 b=7.1689 c=7.7312 alpha=78.44 beta=90.00 gamma=90.00
Sites, in units of the cell vectors:
1 O 0.4481 0.3673 0.3189
2 O 0.9481 0.6327 0.6811
3 O 0.9486 0.0723 0.7763
4 O 0.7500 0.6409 0.9568
5 O 0.4486 0.9277 0.2237
6 O 0.0519 0.3673 0.3189
7 O 0.0514 0.9277 0.2237
8 O 0.2500 0.3591 0.0432
9 O 0.5519 0.6327 0.6811
10 O 0.5514 0.0723 0.7763
11 K 0.2500 0.3558 0.6741
12 K 0.2500 0.7843 0.9292
13 K 0.7500 0.6442 0.3259
14 K 0.7500 0.2157 0.0708
15 S 0.7500 0.6960 0.7606
16 S 0.2500 0.3040 0.2394
17 S 0.2500 0.9723 0.3191
18 S 0.7500 0.0277 0.6809

[5]
Below is K3Sb7S3O9 after structural relaxation, with properties calculated at the GGA-PBE level.

Its total energy is -5.296 eV per atom.

Unit cell a=14.6009 b=14.6009 c=5.7213 alpha=90.00 beta=90.00 gamma=120.00
Sites, in units of the cell vectors:
1 O 0.3578 0.2946 0.3897
2 O 0.6497 0.8771 0.1272
3 O 0.7129 0.0644 0.8905
4 O 0.6484 0.7129 0.3905
5 O 0.2946 0.9368 0.8897
6 O 0.3503 0.1229 0.6272
7 O 0.0632 0.3578 0.8897
8 O 0.7054 0.0632 0.3897
9 O 0.2871 0.9356 0.3905
10 O 0.3516 0.2871 0.8905
11 O 0.1229 0.7727 0.1272
12 O 0.6422 0.7054 0.8897
13 O 0.0644 0.3516 0.3905
14 O 0.9368 0.6422 0.3897
15 O 0.2273 0.3503 0.1272
16 O 0.9356 0.6484 0.8905
17 O 0.8771 0.2273 0.6272
18 O 0.7727 0.6497 0.6272
19 K 0.2951 0.1033 0.1401
20 K 0.1918 0.2951 0.6401
21 K 0.8082 0.7049 0.1401
22 K 0.7049 0.8967 0.6401
23 K 0.8967 0.1918 0.1401
24 K 0.1033 0.8082 0.6401
25 Sb 0.2799 0.8341 0.1463
26 Sb 0.3333 0.6667 0.7461
27 Sb 0.9854 0.3858 0.6358
28 Sb 0.0146 0.6142 0.1358
29 Sb 0.6667 0.3333 0.2461
30 Sb 0.4004 0.0146 0.6358
31 Sb 0.8341 0.5542 0.6463
32 Sb 0.1659 0.4458 0.1463
33 Sb 0.4458 0.2799 0.6463
34 Sb 0.3858 0.4004 0.1358
35 Sb 0.6142 0.5996 0.6358
36 Sb 0.5542 0.7201 0.1463
37 Sb 0.5996 0.9854 0.1358
38 Sb 0.7201 0.1659 0.6463
39 S 0.3732 0.5377 0.5694
40 S 0.8354 0.3732 0.0694
41 S 0.1646 0.6268 0.5694
42 S 0.5377 0.1646 0.0694
43 S 0.4623 0.8354 0.5694
44 S 0.6268 0.4623 0.0694

[6]
Below is K2Sb4S7O after structural relaxation, with properties calculated at the GGA-PBE level.

Its total energy is -4.116 eV per atom.

Unit cell a=7.3270 b=9.6409 c=11.6354 alpha=79.36 beta=86.34 gamma=77.61
Sites, in units of the cell vectors:
1 Sb 0.4978 0.8177 0.7679
2 Sb 0.7414 0.8723 0.0463
3 Sb 0.1404 0.5613 0.8133
4 Sb 0.9564 0.9515 0.6545
5 Sb 0.5022 0.1823 0.2321
6 Sb 0.0436 0.0485 0.3455
7 Sb 0.2586 0.1277 0.9537
8 Sb 0.8596 0.4387 0.1867
9 S 0.3332 0.3264 0.0523
10 S 0.2380 0.9877 0.5403
11 S 0.6668 0.6736 0.9477
12 S 0.9539 0.6950 0.6402
13 S 0.7620 0.0123 0.4597
14 S 0.1813 0.8682 0.8552
15 S 0.1116 0.3228 0.7736
16 S 0.4418 0.9262 0.1514
17 S 0.0461 0.3050 0.3598
18 S 0.8884 0.6772 0.2264
19 S 0.5533 0.4257 0.2872
20 S 0.4467 0.5743 0.7128
21 S 0.5582 0.0738 0.8486
22 S 0.8187 0.1318 0.1448
23 K 0.4154 0.2988 0.5610
24 K 0.7101 0.3461 0.8928
25 K 0.2899 0.6539 0.1072
26 K 0.5846 0.7012 0.4390
27 O 0.7367 0.4145 0.5359
28 O 0.2633 0.5855 0.4641

[7]
Below is KSbS2O8 after structural relaxation, with properties calculated at the GGA-PBE level.

Its total energy is -5.930 eV per atom.

Unit cell a=7.4240 b=9.0312 c=10.9292 alpha=88.20 beta=90.00 gamma=90.00
Sites, in units of the cell vectors:
1 O 0.5612 0.2093 0.6186
2 O 0.8123 0.0674 0.0407
3 O 0.8622 0.4128 0.1847
4 O 0.6378 0.9128 0.1847
5 O 0.5413 0.1680 0.1346
6 O 0.0612 0.2907 0.3814
7 O 0.1944 0.9164 0.2711
8 O 0.3151 0.3848 0.7413
9 O 0.1849 0.8848 0.7413
10 O 0.0413 0.3320 0.8654
11 O 0.8056 0.0836 0.7289
12 O 0.1086 0.5623 0.4020
13 O 0.1378 0.5872 0.8153
14 O 0.9388 0.7093 0.6186
15 O 0.1827 0.8825 0.4933
16 O 0.4587 0.8320 0.8654
17 O 0.6827 0.6175 0.5067
18 O 0.8151 0.1152 0.2587
19 O 0.6877 0.5674 0.0407
20 O 0.3123 0.4326 0.9593
21 O 0.3914 0.0623 0.4020
22 O 0.9587 0.6680 0.1346
23 O 0.3622 0.0872 0.8153
24 O 0.6944 0.5836 0.7289
25 O 0.6086 0.9377 0.5980
26 O 0.3173 0.3825 0.4933
27 O 0.4388 0.7907 0.3814
28 O 0.6849 0.6152 0.2587
29 O 0.8173 0.1175 0.5067
30 O 0.3056 0.4164 0.2711
31 O 0.1877 0.9326 0.9593
32 O 0.8914 0.4377 0.5980
33 S 0.3057 0.9314 0.8526
34 S 0.2995 0.9223 0.3826
35 S 0.7005 0.0777 0.6174
36 S 0.8057 0.5686 0.1474
37 S 0.6943 0.0686 0.1474
38 S 0.2005 0.4223 0.3826
39 S 0.7995 0.5777 0.6174
40 S 0.1943 0.4314 0.8526
41 Sb 0.2147 0.7039 0.6316
42 Sb 0.7853 0.2961 0.3684
43 Sb 0.2853 0.2039 0.6316
44 Sb 0.7147 0.7961 0.3684
45 K 0.1674 0.1833 0.1126
46 K 0.3326 0.6833 0.1126
47 K 0.6674 0.3167 0.8874
48 K 0.8326 0.8167 0.8874

[8]
Below is K2SeS2O6 after structural relaxation, with properties calculated at the GGA-PBE level.

Its total energy is -5.450 eV per atom.

Unit cell a=6.0497 b=9.7369 c=15.7563 alpha=68.97 beta=90.00 gamma=90.00
Sites, in units of the cell vectors:
1 K 0.2351 0.7762 0.0319
2 K 0.7351 0.2238 0.4681
3 K 0.2789 0.5537 0.3202
4 K 0.2649 0.7762 0.5319
5 K 0.7211 0.4463 0.6798
6 K 0.2211 0.5537 0.8202
7 K 0.7649 0.2238 0.9681
8 K 0.7789 0.4463 0.1798
9 O 0.0299 0.6741 0.4182
10 O 0.0571 0.2915 0.3299
11 O 0.9560 0.7331 0.1866
12 O 0.2652 0.0504 0.9028
13 O 0.2348 0.0504 0.4028
14 O 0.2281 0.4608 0.1205
15 O 0.7652 0.9496 0.5972
16 O 0.0440 0.2669 0.8134
17 O 0.7348 0.9496 0.0972
18 O 0.3347 0.3339 0.5116
19 O 0.5571 0.7085 0.1701
20 O 0.5440 0.7331 0.6866
21 O 0.4560 0.2669 0.3134
22 O 0.8347 0.6661 0.9884
23 O 0.7719 0.5392 0.8795
24 O 0.7281 0.5392 0.3795
25 O 0.4701 0.6741 0.9182
26 O 0.5299 0.3259 0.0818
27 O 0.9701 0.3259 0.5818
28 O 0.1653 0.3339 0.0116
29 O 0.9429 0.7085 0.6701
30 O 0.2719 0.4608 0.6205
31 O 0.4429 0.2915 0.8299
32 O 0.6653 0.6661 0.4884
33 S 0.2896 0.3394 0.0903
34 S 0.7896 0.6606 0.4097
35 S 0.2602 0.1921 0.8273
36 S 0.2104 0.3394 0.5903
37 S 0.7602 0.8079 0.6727
38 S 0.7398 0.8079 0.1727
39 S 0.2398 0.1921 0.3273
40 S 0.7104 0.6606 0.9097
41 Se 0.8311 0.8732 0.7970
42 Se 0.3311 0.1268 0.7030
43 Se 0.1689 0.1268 0.2030
44 Se 0.6689 0.8732 0.2970

[9]
Below is K6Si2S6O after structural relaxation, with properties calculated at the GGA-PBE level.

Its total energy is -4.496 eV per atom.

Unit cell a=11.8576 b=8.4242 c=8.8565 alpha=67.92 beta=90.00 gamma=90.00
Sites, in units of the cell vectors:
1 K 0.3272 0.9891 0.0077
2 K 0.1728 0.4891 0.0077
3 K 0.2791 0.1920 0.4565
4 K 0.5620 0.2829 0.2256
5 K 0.7209 0.8080 0.5435
6 K 0.9380 0.7829 0.2256
7 K 0.0620 0.2171 0.7744
8 K 0.8272 0.5109 0.9923
9 K 0.4380 0.7171 0.7744
10 K 0.6728 0.0109 0.9923
11 K 0.7791 0.3080 0.5435
12 K 0.2209 0.6920 0.4565
13 S 0.3214 0.3697 0.7607
14 S 0.4772 0.8902 0.3349
15 S 0.5228 0.1098 0.6651
16 S 0.0228 0.3902 0.3349
17 S 0.9772 0.6098 0.6651
18 S 0.6786 0.6303 0.2393
19 S 0.1156 0.0883 0.1733
20 S 0.6156 0.4117 0.8267
21 S 0.1786 0.8697 0.7607
22 S 0.8844 0.9117 0.8267
23 S 0.8214 0.1303 0.2393
24 S 0.3844 0.5883 0.1733
25 O 0.0000 0.0000 0.5000
26 O 0.5000 0.5000 0.5000
27 Si 0.0101 0.8502 0.6845
28 Si 0.4899 0.3502 0.6845
29 Si 0.9899 0.1498 0.3155
30 Si 0.5101 0.6498 0.3155